Computed, not measured: crystalline Sr3Sn3Au8 at its relaxed geometry at the PBE-GGA level of DFT.

Structure (POSCAR):
```
Sr3Sn3Au8
1.0
4.8056 0.0000 0.0000
0.0000 9.8033 0.0000
0.0000 0.0000 14.2698
Sr Sn Au
6 6 16
Direct
0.5000 0.5054 0.3040
0.5000 0.4946 0.6960
0.0000 0.0054 0.1960
0.0000 0.9946 0.8040
0.5000 0.5000 0.0000
0.0000 0.0000 0.5000
0.5000 0.1547 0.3271
0.5000 0.8453 0.6729
0.0000 0.6547 0.1729
0.0000 0.3453 0.8271
0.0000 0.5000 0.5000
0.5000 0.0000 0.0000
0.5000 0.6976 0.4983
0.5000 0.3024 0.5017
0.0000 0.1976 0.0017
0.0000 0.8024 0.9983
0.5000 0.7787 0.1268
0.5000 0.2213 0.8732
0.0000 0.2787 0.3732
0.0000 0.7213 0.6268
0.5000 0.7842 0.8653
0.5000 0.2158 0.1347
0.0000 0.2842 0.6347
0.0000 0.7158 0.3653
0.5000 0.8762 0.3413
0.5000 0.1238 0.6587
0.0000 0.3762 0.1587
0.0000 0.6238 0.8413
```

Values from the calculation:
Space-group type: Pnnm
Spin magnetization (μB/cell): 0.01
Total energy (Ry per atom): -0.269
ΔE to the lowest computed polymorph (meV per atom): 0
ΔH_f (0 K) (eV per atom): -0.564